# SrNiIr2

A relaxed SrNiIr2 crystal (PBE, the Materials Project).

Its total moment is 1.83 μB per cell. The space-group type is Fm-3m. As for the formation enthalpy at 0 K: 721.0 meV per atom. For the mass density, the calculation gives 12.504 g/cm³.

Geometry as extended XYZ:
```
4
Lattice="0.000 3.279 3.279 3.279 0.000 3.279 3.279 3.279 0.000" Properties=species:S:1:pos:R:3 pbc="T T T"
Sr 0.000 0.000 0.000
Ni 3.279 3.279 3.279
Ir 1.639 1.639 1.639
Ir 4.918 4.918 4.918
```